1.
DFT (PBE-GGA) results for a geometry-optimized TmFe2B2 structure.

Summary:
E_form ... -0.453 eV/atom

```
TmFe2B2
1.0
3.483 0.000 0.000
0.000 3.483 0.000
0.000 0.000 9.400
Tm Fe B
2 4 4
Cartesian
0.000 0.000 0.000
1.741 1.741 4.700
0.000 1.741 2.350
0.000 1.741 7.050
1.741 0.000 2.350
1.741 0.000 7.050
0.000 0.000 3.534
0.000 0.000 5.866
1.741 1.741 1.166
1.741 1.741 8.234
```

2.
DFT (PBE-GGA) results for a geometry-optimized U2Fe21B6 structure.

Summary:
E_form ... -0.233 eV/atom
Magnetic moment ... 36.70 μB per formula unit

```
U2Fe21B6
1.0
0.000 5.360 5.360
5.360 0.000 5.360
5.360 5.360 0.000
U Fe B
2 21 6
Cartesian
2.680 2.680 2.680
8.040 8.040 8.040
0.000 0.000 0.000
1.805 1.805 0.000
3.556 3.556 0.000
1.805 0.000 1.805
5.360 3.556 1.805
3.556 0.000 3.556
5.360 1.805 3.556
6.633 4.087 4.087
0.000 1.805 1.805
3.556 5.360 1.805
3.556 1.805 5.360
4.087 4.087 4.087
6.633 6.633 4.087
6.633 4.087 6.633
4.087 6.633 4.087
4.087 4.087 6.633
6.633 6.633 6.633
0.000 3.556 3.556
1.805 5.360 3.556
1.805 3.556 5.360
4.087 6.633 6.633
5.360 5.360 2.924
5.360 2.924 5.360
7.796 5.360 5.360
2.924 5.360 5.360
5.360 7.796 5.360
5.360 5.360 7.796
```

3.
DFT (PBE-GGA) results for a geometry-optimized UFeB4 structure.

Summary:
E_form ... -0.542 eV/atom
Magnetic moment ... 0.08 μB per formula unit

```
UFeB4
1.0
5.873 0.000 0.000
0.000 11.381 0.000
0.000 0.000 3.375
U Fe B
4 4 16
Cartesian
0.748 1.712 0.000
2.188 7.403 0.000
3.685 3.979 0.000
5.125 9.669 0.000
0.792 4.679 0.000
2.145 10.370 0.000
3.728 1.012 0.000
5.081 6.702 0.000
0.142 7.868 1.688
0.667 6.211 1.688
0.793 10.993 1.688
1.270 9.255 1.688
1.666 3.565 1.688
2.144 5.303 1.688
2.269 0.520 1.688
2.794 2.177 1.688
3.079 9.204 1.688
3.604 10.861 1.688
3.730 6.079 1.688
4.207 7.816 1.688
4.603 2.126 1.688
5.080 0.388 1.688
5.206 5.170 1.688
5.731 3.514 1.688
```

4.
DFT (PBE-GGA) results for a geometry-optimized V11FeB8 structure.

Summary:
E_form ... -0.704 eV/atom
Magnetic moment ... 1.48 μB per formula unit

```
V11FeB8
1.0
5.697 0.000 0.000
0.000 3.029 0.000
-0.010 0.000 11.373
V Fe B
11 1 8
Cartesian
0.000 0.000 0.000
1.008 1.515 3.875
1.005 1.515 9.528
1.832 1.515 1.018
1.835 1.515 6.689
2.847 0.000 2.860
2.841 0.000 8.514
3.852 1.515 4.684
3.855 1.515 10.355
4.683 1.515 1.846
4.679 1.515 7.498
-0.005 0.000 5.687
0.619 0.000 7.858
0.632 0.000 2.234
2.196 0.000 5.063
2.207 0.000 10.741
3.481 0.000 0.633
3.491 0.000 6.311
5.055 0.000 9.139
5.069 0.000 3.516
```